1.
# V18Ag7O48 (PBE with a Hubbard U, relaxed)
data_V18Ag7O48
_chemical_formula_sum 'V18 Ag7 O48'
_cell_length_a 8.3601
_cell_length_b 10.4580
_cell_length_c 12.9058
_cell_angle_alpha 113.79
_cell_angle_beta 82.17
_cell_angle_gamma 109.88
_space_group_name_H-M_alt 'P 1'
_space_group_IT_number 1
loop_
_space_group_symop_operation_xyz
'x,y,z'
loop_
_atom_site_label
_atom_site_type_symbol
_atom_site_fract_x
_atom_site_fract_y
_atom_site_fract_z
V1 V 0.1784 0.0740 0.0788
V2 V 0.4860 0.5932 0.9208
V3 V 0.1556 0.2589 0.9195
V4 V 0.1446 0.8231 0.5409
V5 V 0.4781 0.1557 0.5399
V6 V 0.8116 0.4904 0.5409
V7 V 0.8634 0.5982 0.8105
V8 V 0.1964 0.9320 0.8103
V9 V 0.5270 0.2657 0.8071
V10 V 0.4709 0.7351 0.1897
V11 V 0.8084 0.0690 0.1930
V12 V 0.1394 0.4041 0.1965
V13 V 0.5221 0.8430 0.4593
V14 V 0.1890 0.5105 0.4601
V15 V 0.8555 0.1775 0.4603
V16 V 0.5064 0.4131 0.0816
V17 V 0.8467 0.7415 0.0791
V18 V 0.8208 0.9231 0.9194
Ag1 Ag 0.1910 0.3706 0.6811
Ag2 Ag 0.1427 0.9625 0.3186
Ag3 Ag 0.4752 0.2966 0.3199
Ag4 Ag 0.5242 0.7030 0.6808
Ag5 Ag 0.8584 0.0354 0.6796
Ag6 Ag 0.8101 0.6312 0.3199
Ag7 Ag 0.7879 0.2522 0.0210
O1 O 0.3006 0.5006 0.5527
O2 O 0.0581 0.2536 0.8131
O3 O 0.3896 0.5874 0.8142
O4 O 0.2753 0.0796 0.1850
O5 O 0.0331 0.8340 0.4491
O6 O 0.3661 0.1663 0.4482
O7 O 0.0342 0.0713 0.9284
O8 O 0.3699 0.4063 0.9284
O9 O 0.7010 0.7384 0.9280
O10 O 0.7478 0.5895 0.6762
O11 O 0.0813 0.9228 0.6763
O12 O 0.4140 0.2561 0.6759
O13 O 0.9822 0.7974 0.8275
O14 O 0.3150 0.1309 0.8271
O15 O 0.6489 0.4643 0.8268
O16 O 0.3522 0.8340 0.2700
O17 O 0.6868 0.1681 0.2692
O18 O 0.0152 0.5022 0.2718
O19 O 0.3632 0.9632 0.5387
O20 O 0.6961 0.2961 0.5389
O21 O 0.0295 0.6298 0.5390
O22 O 0.3988 0.6995 0.0451
O23 O 0.7319 0.0334 0.0440
O24 O 0.0667 0.3656 0.0419
O25 O 0.2688 0.9684 0.9538
O26 O 0.9345 0.6331 0.9533
O27 O 0.5964 0.3012 0.9535
O28 O 0.6367 0.0375 0.4614
O29 O 0.9699 0.3700 0.4617
O30 O 0.3039 0.7042 0.4617
O31 O 0.3145 0.8328 0.7301
O32 O 0.6476 0.1667 0.7307
O33 O 0.9811 0.4989 0.7297
O34 O 0.0134 0.1961 0.1712
O35 O 0.6859 0.8676 0.1708
O36 O 0.3591 0.5389 0.1706
O37 O 0.5873 0.7448 0.3246
O38 O 0.9187 0.0762 0.3250
O39 O 0.2552 0.4108 0.3268
O40 O 0.2980 0.2618 0.0724
O41 O 0.6345 0.5940 0.0704
O42 O 0.9654 0.9266 0.0706
O43 O 0.6341 0.8336 0.5518
O44 O 0.9672 0.1670 0.5522
O45 O 0.7242 0.9204 0.8139
O46 O 0.6071 0.4128 0.1846
O47 O 0.9429 0.7460 0.1849
O48 O 0.6990 0.4998 0.4488
# SG: P1 (1)
# Formation energy: -2.05 eV per atom
# Uncorrected energy: -6.94 eV/atom

***

2.
# MnBi2I8O8 (PBE with a Hubbard U, relaxed)
data_MnBi2I8O8
_chemical_formula_sum 'Mn2 Bi4 I16 O16'
_cell_length_a 8.0657
_cell_length_b 13.6007
_cell_length_c 12.5932
_cell_angle_alpha 90.00
_cell_angle_beta 119.54
_cell_angle_gamma 90.00
_space_group_name_H-M_alt 'P 1'
_space_group_IT_number 1
loop_
_space_group_symop_operation_xyz
'x,y,z'
loop_
_atom_site_label
_atom_site_type_symbol
_atom_site_fract_x
_atom_site_fract_y
_atom_site_fract_z
Mn1 Mn 0.0000 0.5000 0.5000
Mn2 Mn 0.0000 0.0000 0.0000
Bi1 Bi 0.3188 0.0186 0.5860
Bi2 Bi 0.6812 0.5186 0.9140
Bi3 Bi 0.6812 0.9814 0.4140
Bi4 Bi 0.3188 0.4814 0.0860
I1 I 0.9943 0.1489 0.4292
I2 I 0.0057 0.6489 0.0708
I3 I 0.0057 0.8511 0.5708
I4 I 0.9943 0.3511 0.9292
I5 I 0.5792 0.1525 0.5539
I6 I 0.4208 0.6525 0.9461
I7 I 0.4208 0.8475 0.4461
I8 I 0.5792 0.3475 0.0539
I9 I 0.1109 0.1387 0.7647
I10 I 0.8891 0.6387 0.7353
I11 I 0.8891 0.8613 0.2353
I12 I 0.1109 0.3613 0.2647
I13 I 0.5668 0.0281 0.8821
I14 I 0.4332 0.5281 0.6179
I15 I 0.4332 0.9719 0.1179
I16 I 0.5668 0.4719 0.3821
O1 O 0.9829 0.5903 0.6372
O2 O 0.0171 0.0903 0.8628
O3 O 0.0171 0.4097 0.3628
O4 O 0.9829 0.9097 0.1372
O5 O 0.2301 0.6089 0.5163
O6 O 0.7699 0.1089 0.9837
O7 O 0.7699 0.3911 0.4837
O8 O 0.2301 0.8911 0.0163
O9 O 0.2691 0.4415 0.6407
O10 O 0.7309 0.9415 0.8593
O11 O 0.7309 0.5585 0.3593
O12 O 0.2691 0.0585 0.1407
O13 O 0.3737 0.3381 0.3729
O14 O 0.6263 0.8381 0.1271
O15 O 0.6263 0.6619 0.6271
O16 O 0.3737 0.1619 0.8729
# SG: P2_1/c (14)
# Formation energy: -0.54 eV per atom
# Uncorrected energy: -3.78 eV/atom

***

3.
# Li7Mn3W2O16 (PBE with a Hubbard U, relaxed)
data_Li7Mn3W2O16
_chemical_formula_sum 'Li7 Mn3 W2 O16'
_cell_length_a 5.9076
_cell_length_b 5.9076
_cell_length_c 9.6518
_cell_angle_alpha 89.83
_cell_angle_beta 89.83
_cell_angle_gamma 59.49
_space_group_name_H-M_alt 'P 1'
_space_group_IT_number 1
loop_
_space_group_symop_operation_xyz
'x,y,z'
loop_
_atom_site_label
_atom_site_type_symbol
_atom_site_fract_x
_atom_site_fract_y
_atom_site_fract_z
Li1 Li 0.8267 0.3350 0.2075
Li2 Li 0.6739 0.6739 0.9032
Li3 Li 0.9930 0.9930 0.9977
Li4 Li 0.9982 0.9982 0.4842
Li5 Li 0.3350 0.8267 0.2075
Li6 Li 0.1706 0.1706 0.7152
Li7 Li 0.3338 0.3338 0.4084
Mn1 Mn 0.8211 0.8211 0.2329
Mn2 Mn 0.6601 0.1633 0.7166
Mn3 Mn 0.1633 0.6601 0.7166
W1 W 0.6468 0.6468 0.4850
W2 W 0.3286 0.3286 0.9924
O1 O 0.8280 0.3376 0.5902
O2 O 0.5172 0.5172 0.3563
O3 O 0.6923 0.6923 0.1120
O4 O 0.9834 0.9834 0.2922
O5 O 0.9930 0.9930 0.8052
O6 O 0.3376 0.8280 0.5902
O7 O 0.9614 0.5380 0.3556
O8 O 0.5380 0.9614 0.3556
O9 O 0.1691 0.1691 0.0733
O10 O 0.8348 0.8348 0.6032
O11 O 0.5014 0.0434 0.8423
O12 O 0.0434 0.5014 0.8423
O13 O 0.3448 0.3448 0.6121
O14 O 0.6493 0.1717 0.0886
O15 O 0.4834 0.4834 0.8331
O16 O 0.1717 0.6493 0.0886
# SG: Cm (8)
# Formation energy: -2.10 eV per atom
# Uncorrected energy: -6.43 eV/atom

***

4.
# SrMn5S6O24 (PBE with a Hubbard U, relaxed)
data_SrMn5S6O24
_chemical_formula_sum 'Sr3 Mn15 S18 O72'
_cell_length_a 14.8361
_cell_length_b 14.8361
_cell_length_c 7.5965
_cell_angle_alpha 90.00
_cell_angle_beta 90.00
_cell_angle_gamma 120.00
_space_group_name_H-M_alt 'P 1'
_space_group_IT_number 1
loop_
_space_group_symop_operation_xyz
'x,y,z'
loop_
_atom_site_label
_atom_site_type_symbol
_atom_site_fract_x
_atom_site_fract_y
_atom_site_fract_z
Sr1 Sr 0.6667 0.3333 0.0010
Sr2 Sr 0.3333 0.6667 0.9990
Sr3 Sr 0.0000 0.0000 0.5000
Mn1 Mn 0.0016 0.3469 0.9649
Mn2 Mn 0.6547 0.0016 0.0351
Mn3 Mn 0.3231 0.0050 0.5456
Mn4 Mn 0.6667 0.3333 0.5016
Mn5 Mn 0.3469 0.3453 0.0351
Mn6 Mn 0.6531 0.6547 0.9649
Mn7 Mn 0.9984 0.6531 0.0351
Mn8 Mn 0.9950 0.3182 0.5456
Mn9 Mn 0.3333 0.6667 0.4984
Mn10 Mn 0.0050 0.6818 0.4544
Mn11 Mn 0.6769 0.9950 0.4544
Mn12 Mn 0.0000 0.0000 0.0000
Mn13 Mn 0.6818 0.6769 0.5456
Mn14 Mn 0.3182 0.3231 0.4544
Mn15 Mn 0.3453 0.9984 0.9649
S1 S 0.7740 0.9023 0.7570
S2 S 0.4409 0.2362 0.7443
S3 S 0.5699 0.4608 0.2592
S4 S 0.4301 0.5392 0.7408
S5 S 0.2047 0.4409 0.2557
S6 S 0.5591 0.7638 0.2557
S7 S 0.7638 0.2047 0.7443
S8 S 0.4608 0.8909 0.7408
S9 S 0.8909 0.4301 0.2592
S10 S 0.1091 0.5699 0.7408
S11 S 0.8716 0.7740 0.2430
S12 S 0.0977 0.8716 0.7570
S13 S 0.9023 0.1284 0.2430
S14 S 0.2260 0.0977 0.2430
S15 S 0.1284 0.2260 0.7570
S16 S 0.2362 0.7953 0.2557
S17 S 0.7953 0.5591 0.7443
S18 S 0.5392 0.1091 0.2592
O1 O 0.4245 0.9689 0.7448
O2 O 0.2448 0.3660 0.2393
O3 O 0.4103 0.2775 0.5950
O4 O 0.4952 0.1102 0.0825
O5 O 0.2553 0.0444 0.1115
O6 O 0.8672 0.5897 0.5950
O7 O 0.4159 0.6307 0.7100
O8 O 0.2526 0.7051 0.2861
O9 O 0.8456 0.5566 0.9127
O10 O 0.9193 0.0393 0.2055
O11 O 0.0839 0.6218 0.6009
O12 O 0.1544 0.4434 0.0873
O13 O 0.7474 0.2949 0.7139
O14 O 0.0807 0.9607 0.7945
O15 O 0.2109 0.2553 0.8885
O16 O 0.9440 0.1667 0.4235
O17 O 0.8898 0.3850 0.0825
O18 O 0.0896 0.3021 0.7588
O19 O 0.5755 0.0311 0.2552
O20 O 0.2775 0.8672 0.4050
O21 O 0.3782 0.4621 0.6009
O22 O 0.6150 0.5048 0.0825
O23 O 0.9161 0.3782 0.3991
O24 O 0.6307 0.2148 0.2900
O25 O 0.5475 0.2526 0.7139
O26 O 0.0393 0.1200 0.7945
O27 O 0.2227 0.0560 0.4235
O28 O 0.1328 0.4103 0.4050
O29 O 0.8787 0.2448 0.7607
O30 O 0.4434 0.2889 0.9127
O31 O 0.6979 0.7875 0.7588
O32 O 0.5379 0.9161 0.6009
O33 O 0.7852 0.4159 0.2900
O34 O 0.6340 0.8787 0.2393
O35 O 0.2949 0.5475 0.2861
O36 O 0.5566 0.7111 0.0873
O37 O 0.7051 0.4525 0.7139
O38 O 0.3660 0.1213 0.7607
O39 O 0.9607 0.8800 0.2055
O40 O 0.4525 0.7474 0.2861
O41 O 0.5841 0.3693 0.2900
O42 O 0.1102 0.6150 0.9175
O43 O 0.8800 0.9193 0.7945
O44 O 0.7225 0.1328 0.5950
O45 O 0.3021 0.2125 0.2412
O46 O 0.7111 0.1544 0.9127
O47 O 0.5897 0.7225 0.4050
O48 O 0.0311 0.4556 0.7448
O49 O 0.9689 0.5444 0.2552
O50 O 0.9556 0.2109 0.1115
O51 O 0.2889 0.8456 0.0873
O52 O 0.4556 0.4245 0.2552
O53 O 0.5048 0.8898 0.9175
O54 O 0.7552 0.6340 0.7607
O55 O 0.6218 0.5379 0.3991
O56 O 0.0444 0.7891 0.8885
O57 O 0.3693 0.7852 0.7100
O58 O 0.7875 0.0896 0.2412
O59 O 0.5444 0.5755 0.7448
O60 O 0.7447 0.9556 0.8885
O61 O 0.7891 0.7447 0.1115
O62 O 0.1213 0.7552 0.2393
O63 O 0.4621 0.0839 0.3991
O64 O 0.1200 0.0807 0.2055
O65 O 0.2125 0.9104 0.7588
O66 O 0.0560 0.8333 0.5765
O67 O 0.3850 0.4952 0.9175
O68 O 0.9104 0.6979 0.2412
O69 O 0.2148 0.5841 0.7100
O70 O 0.8333 0.7773 0.4235
O71 O 0.7773 0.9440 0.5765
O72 O 0.1667 0.2227 0.5765
# SG: P-3 (147)
# Formation energy: -2.15 eV per atom
# Uncorrected energy: -6.77 eV/atom

***

5.
# Rb3Zn3Mo4O16 (PBE with a Hubbard U, relaxed)
data_Rb3Zn3Mo4O16
_chemical_formula_sum 'Rb6 Zn6 Mo8 O32'
_cell_length_a 10.5643
_cell_length_b 10.5643
_cell_length_c 10.5643
_cell_angle_alpha 109.47
_cell_angle_beta 109.47
_cell_angle_gamma 109.47
_space_group_name_H-M_alt 'P 1'
_space_group_IT_number 1
loop_
_space_group_symop_operation_xyz
'x,y,z'
loop_
_atom_site_label
_atom_site_type_symbol
_atom_site_fract_x
_atom_site_fract_y
_atom_site_fract_z
Rb1 Rb 0.6250 0.3750 0.2500
Rb2 Rb 0.8750 0.1250 0.7500
Rb3 Rb 0.3750 0.2500 0.6250
Rb4 Rb 0.1250 0.7500 0.8750
Rb5 Rb 0.2500 0.6250 0.3750
Rb6 Rb 0.7500 0.8750 0.1250
Zn1 Zn 0.1250 0.8750 0.2500
Zn2 Zn 0.3750 0.6250 0.7500
Zn3 Zn 0.8750 0.2500 0.1250
Zn4 Zn 0.6250 0.7500 0.3750
Zn5 Zn 0.2500 0.1250 0.8750
Zn6 Zn 0.7500 0.3750 0.6250
Mo1 Mo 0.2150 0.2150 0.2150
Mo2 Mo 0.2850 0.5000 0.0000
Mo3 Mo 0.0000 0.2850 0.5000
Mo4 Mo 0.7150 0.7150 0.7150
Mo5 Mo 0.5000 0.0000 0.2850
Mo6 Mo 0.7850 0.5000 0.0000
Mo7 Mo 0.5000 0.0000 0.7850
Mo8 Mo 0.0000 0.7850 0.5000
O1 O 0.2716 0.1405 0.0724
O2 O 0.2284 0.3008 0.8689
O3 O 0.9319 0.3595 0.6311
O4 O 0.1405 0.0724 0.2716
O5 O 0.7716 0.5724 0.6405
O6 O 0.5681 0.1992 0.4276
O7 O 0.3008 0.8689 0.2284
O8 O 0.7284 0.3689 0.8008
O9 O 0.3595 0.6311 0.9319
O10 O 0.4319 0.1311 0.8595
O11 O 0.1992 0.4276 0.5681
O12 O 0.0681 0.9276 0.6992
O13 O 0.0724 0.2716 0.1405
O14 O 0.6405 0.7716 0.5724
O15 O 0.6311 0.9319 0.3595
O16 O 0.8595 0.4319 0.1311
O17 O 0.4276 0.5681 0.1992
O18 O 0.6992 0.0681 0.9276
O19 O 0.8689 0.2284 0.3008
O20 O 0.8008 0.7284 0.3689
O21 O 0.5724 0.6405 0.7716
O22 O 0.3689 0.8008 0.7284
O23 O 0.9276 0.6992 0.0681
O24 O 0.1311 0.8595 0.4319
O25 O 0.3813 0.3813 0.3813
O26 O 0.1187 0.5000 0.0000
O27 O 0.0000 0.1187 0.5000
O28 O 0.8813 0.8813 0.8813
O29 O 0.5000 0.0000 0.1187
O30 O 0.6187 0.5000 0.0000
O31 O 0.5000 0.0000 0.6187
O32 O 0.0000 0.6187 0.5000
# SG: I-43d (220)
# Formation energy: -1.98 eV per atom
# Uncorrected energy: -6.03 eV/atom

***

6.
# VNi3Sb2P6O24 (PBE with a Hubbard U, relaxed)
data_VNi3Sb2P6O24
_chemical_formula_sum 'V1 Ni3 Sb2 P6 O24'
_cell_length_a 8.8218
_cell_length_b 8.8218
_cell_length_c 8.8218
_cell_angle_alpha 58.76
_cell_angle_beta 58.76
_cell_angle_gamma 58.76
_space_group_name_H-M_alt 'P 1'
_space_group_IT_number 1
loop_
_space_group_symop_operation_xyz
'x,y,z'
loop_
_atom_site_label
_atom_site_type_symbol
_atom_site_fract_x
_atom_site_fract_y
_atom_site_fract_z
V1 V 0.8569 0.8569 0.8569
Ni1 Ni 0.3527 0.3527 0.3527
Ni2 Ni 0.1526 0.1526 0.1526
Ni3 Ni 0.6464 0.6464 0.6464
Sb1 Sb 0.0189 0.0189 0.0189
Sb2 Sb 0.5045 0.5045 0.5045
P1 P 0.7483 0.0375 0.4649
P2 P 0.0375 0.4649 0.7483
P3 P 0.4649 0.7483 0.0375
P4 P 0.5403 0.2458 0.9549
P5 P 0.9549 0.5403 0.2458
P6 P 0.2458 0.9549 0.5403
O1 O 0.8918 0.4879 0.6913
O2 O 0.4879 0.6913 0.8918
O3 O 0.6913 0.8918 0.4879
O4 O 0.9176 0.0646 0.2687
O5 O 0.8160 0.9858 0.6221
O6 O 0.5871 0.2341 0.4557
O7 O 0.0646 0.2687 0.9176
O8 O 0.2341 0.4557 0.5871
O9 O 0.3834 0.2019 0.9812
O10 O 0.4557 0.5871 0.2341
O11 O 0.7348 0.0766 0.9175
O12 O 0.9812 0.3834 0.2019
O13 O 0.9858 0.6221 0.8160
O14 O 0.2687 0.9176 0.0646
O15 O 0.5688 0.4105 0.7563
O16 O 0.6221 0.8160 0.9858
O17 O 0.7563 0.5688 0.4105
O18 O 0.9175 0.7348 0.0766
O19 O 0.4105 0.7563 0.5688
O20 O 0.2019 0.9812 0.3834
O21 O 0.0766 0.9175 0.7348
O22 O 0.2843 0.1095 0.5289
O23 O 0.5289 0.2843 0.1095
O24 O 0.1095 0.5289 0.2843
# SG: R3 (146)
# Formation energy: -2.23 eV per atom
# Uncorrected energy: -6.68 eV/atom

***

7.
# Mn3O2F4 (PBE with a Hubbard U, relaxed)
data_Mn3O2F4
_chemical_formula_sum 'Mn6 O4 F8'
_cell_length_a 4.7954
_cell_length_b 4.6836
_cell_length_c 9.7280
_cell_angle_alpha 90.00
_cell_angle_beta 88.71
_cell_angle_gamma 90.00
_space_group_name_H-M_alt 'P 1'
_space_group_IT_number 1
loop_
_space_group_symop_operation_xyz
'x,y,z'
loop_
_atom_site_label
_atom_site_type_symbol
_atom_site_fract_x
_atom_site_fract_y
_atom_site_fract_z
Mn1 Mn 0.9653 0.9772 0.0082
Mn2 Mn 0.0000 0.0000 0.3333
Mn3 Mn 0.0348 0.0228 0.6585
Mn4 Mn 0.5000 0.5000 0.8333
Mn5 Mn 0.5347 0.4772 0.1585
Mn6 Mn 0.4653 0.5228 0.5082
O1 O 0.1934 0.8285 0.5000
O2 O 0.3066 0.3285 0.6667
O3 O 0.6934 0.6715 0.0000
O4 O 0.8066 0.1715 0.1667
F1 F 0.2180 0.7714 0.1702
F2 F 0.1852 0.8058 0.8456
F3 F 0.2820 0.2714 0.9964
F4 F 0.3148 0.3058 0.3211
F5 F 0.6852 0.6942 0.3456
F6 F 0.7180 0.7286 0.6702
F7 F 0.7820 0.2286 0.4964
F8 F 0.8148 0.1942 0.8211
# SG: P2_1/c (14)
# Formation energy: -2.54 eV per atom
# Uncorrected energy: -6.63 eV/atom

***

8.
# MgTiFeO4 (PBE with a Hubbard U, relaxed)
data_MgTiFeO4
_chemical_formula_sum 'Mg1 Ti1 Fe1 O4'
_cell_length_a 5.5655
_cell_length_b 5.5655
_cell_length_c 5.5655
_cell_angle_alpha 139.29
_cell_angle_beta 135.45
_cell_angle_gamma 61.92
_space_group_name_H-M_alt 'P 1'
_space_group_IT_number 1
loop_
_space_group_symop_operation_xyz
'x,y,z'
loop_
_atom_site_label
_atom_site_type_symbol
_atom_site_fract_x
_atom_site_fract_y
_atom_site_fract_z
Mg1 Mg 0.4664 0.4664 0.0000
Ti1 Ti 0.7402 0.2404 0.4998
Fe1 Fe 0.0310 0.0310 0.0000
O1 O 0.5270 0.0270 0.5000
O2 O 0.2448 0.2447 0.0001
O3 O 0.9445 0.4445 0.5000
O4 O 0.7246 0.7246 0.0000
# SG: Imm2 (44)
# Formation energy: -2.69 eV per atom
# Uncorrected energy: -7.37 eV/atom